(1)
First-principles (r2SCAN) data for a geometry-optimized SmFeSi structure, as listed in Materials Project.

Properties
- Space group: P4/nmm, No. 129

```
6
Lattice="4.043 0.000 0.000 0.000 4.043 0.000 0.000 0.000 6.771" Properties=species:S:1:pos:R:3 pbc="T T T"
Sm 1.011 1.011 1.286
Sm 3.032 3.032 5.485
Fe 1.011 3.032 3.385
Fe 3.032 1.011 3.385
Si 1.011 1.011 4.504
Si 3.032 3.032 2.267
```

***

(2)
First-principles (r2SCAN) data for a geometry-optimized SmFeSi2 structure, as listed in Materials Project.

Properties
- Space group: P2_1/m, No. 11

```
8
Lattice="4.296 0.000 0.000 0.000 4.003 0.000 -1.911 0.000 7.766" Properties=species:S:1:pos:R:3 pbc="T T T"
Sm 0.063 1.001 1.609
Sm 2.321 3.002 6.156
Fe 0.487 1.001 4.721
Fe 1.897 3.002 3.044
Si -0.202 3.002 3.856
Si 0.231 1.001 6.999
Si 2.153 3.002 0.767
Si 2.587 1.001 3.910
```

***

(3)
First-principles (r2SCAN) data for a geometry-optimized TbFeSi structure, as listed in Materials Project.

Properties
- Space group: P4/nmm, No. 129

```
6
Lattice="4.046 0.000 0.000 0.000 4.046 0.000 0.000 0.000 6.442" Properties=species:S:1:pos:R:3 pbc="T T T"
Tb 1.011 1.011 1.210
Tb 3.034 3.034 5.232
Fe 1.011 3.034 3.221
Fe 3.034 1.011 3.221
Si 1.011 1.011 4.359
Si 3.034 3.034 2.083
```

***

| no. | total energy (eV/atom) |
| --- | --- |
| 1 | -18.0994 |
| 2 | -16.0329 |
| 3 | -18.6434 |